Entry from the Materials Project database: LuTa7O19 after structural relaxation (PBE).

Results
- corrected total energy (MP2020 scheme) (eV per atom) = -10.135
- formation energy from the elements (kJ/mol of atoms) = -329.1

CIF file:
```
data_LuTa7O19
_cell_length_a 6.2481
_cell_length_b 6.2481
_cell_length_c 20.0397
_cell_angle_alpha 90.00
_cell_angle_beta 90.00
_cell_angle_gamma 120.00
_space_group_name_H-M_alt 'P -6 c 2'
_space_group_IT_number 188
_space_group_name_Hall 'P -6c 2'
loop_
_atom_site_label
_atom_site_type_symbol
_atom_site_fract_x
_atom_site_fract_y
_atom_site_fract_z
Lu1 Lu 0.0000 0.0000 0.0000
Ta1 Ta 0.0271 0.3329 0.1552
Ta2 Ta 0.3333 0.6667 0.0000
O1 O 0.0000 0.0000 0.1305
O2 O 0.0401 0.2903 0.2500
O3 O 0.0932 0.3734 0.0549
O4 O 0.3333 0.6667 0.1659
O5 O 0.4194 0.0856 0.6531
```